A plane-wave DFT calculation with GGA-PBE was carried out for a relaxed structure of AlH3O3.

Cell lengths 5.1082, 6.6379, 6.6441 Å; angles 83.01, 82.69, 79.99 degrees
Atoms (fractional coordinates):
Al (0.5304, 0.1683, 0.8381)
Al (0.4773, 0.8308, 0.1668)
Al (0.0160, 0.3382, 0.6690)
Al (0.9898, 0.6693, 0.3364)
H (0.3630, 0.1020, 0.5517)
H (0.8060, 0.0367, 0.2029)
H (0.6258, 0.4820, 0.3160)
H (0.3886, 0.5213, 0.6909)
H (0.2136, 0.3023, 0.2918)
H (0.7669, 0.7077, 0.7037)
H (0.8764, 0.8580, 0.9214)
H (0.1372, 0.1382, 0.0570)
H (0.7777, 0.1007, 0.4997)
H (0.2488, 0.8654, 0.5349)
H (0.2394, 0.6093, 0.9856)
H (0.7741, 0.3933, 0.0212)
O (0.2693, 0.0850, 0.6894)
O (0.7416, 0.9289, 0.3010)
O (0.7133, 0.5732, 0.2116)
O (0.2984, 0.4325, 0.7953)
O (0.1702, 0.3993, 0.3966)
O (0.8326, 0.6054, 0.6063)
O (0.6850, 0.8849, 0.9049)
O (0.3219, 0.1152, 0.0929)
O (0.7472, 0.2091, 0.5923)
O (0.2593, 0.7937, 0.4133)
O (0.1979, 0.7195, 0.0791)
O (0.8164, 0.2777, 0.9341)

Calculated values
Final energy in eV/cell: -163.691
E (MP2020) in eV/cell: -171.935
Energy above the most stable polymorph in this dataset in eV/atom: 0.013
ΔE_f in eV/f.u.: -14.22